# Li7Fe8B8O24 PBE+U relaxed
# * VASP energy: -6.965 eV per atom
# * volume: 10.38 Å³/atom
# * space-group type: P1 (1)
# * magnetization: 33.00 μB/f.u.
# * E above lowest polymorph: 0.0092 eV/atom
data_Li7Fe8B8O24
_chemical_formula_sum 'Li7 Fe8 B8 O24'
_cell_length_a 5.229
_cell_length_b 9.066
_cell_length_c 11.473
_cell_angle_alpha 113.01
_cell_angle_beta 101.98
_cell_angle_gamma 89.64
_symmetry_space_group_name_H-M 'P 1'
_symmetry_Int_Tables_number 1
loop_
_symmetry_equiv_pos_as_xyz
'x,y,z'
loop_
_atom_site_label
_atom_site_type_symbol
_atom_site_fract_x
_atom_site_fract_y
_atom_site_fract_z
_atom_site_occupancy
O1 O 0.693 0.716 0.830 1
O2 O 0.960 0.383 0.346 1
Li1 Li 0.352 0.711 0.409 1
O3 O 0.146 0.885 0.093 1
Fe1 Fe 0.347 0.348 0.379 1
O4 O 0.864 0.117 0.916 1
B1 B 0.599 0.600 0.870 1
O5 O 0.646 0.389 0.097 1
O6 O 0.973 0.655 0.366 1
B2 B 0.398 0.394 0.126 1
B3 B 0.347 0.015 0.375 1
Fe2 Fe 0.106 0.779 0.887 1
O7 O 0.509 0.843 0.623 1
B4 B 0.897 0.894 0.123 1
Fe3 Fe 0.656 0.647 0.628 1
O8 O 0.017 0.367 0.641 1
O9 O 0.470 0.133 0.356 1
O10 O 0.804 0.781 0.161 1
O11 O 0.200 0.226 0.849 1
Li2 Li 0.427 0.074 0.170 1
O12 O 0.128 0.039 0.428 1
Fe4 Fe 0.407 0.723 0.130 1
O13 O 0.547 0.127 0.667 1
O14 O 0.041 0.639 0.659 1
O15 O 0.236 0.968 0.860 1
Li3 Li 0.615 0.951 0.913 1
O16 O 0.243 0.516 0.114 1
O17 O 0.444 0.861 0.340 1
Li4 Li 0.919 0.576 0.169 1
B5 B 0.857 0.530 0.381 1
B6 B 0.099 0.104 0.877 1
Fe5 Fe 0.594 0.272 0.882 1
B7 B 0.148 0.489 0.632 1
O18 O 0.742 0.012 0.108 1
O19 O 0.396 0.473 0.600 1
Li5 Li 0.670 0.333 0.663 1
Fe6 Fe 0.146 0.156 0.627 1
B8 B 0.654 0.980 0.632 1
O20 O 0.308 0.281 0.164 1
Li6 Li 0.169 0.846 0.665 1
O21 O 0.897 0.961 0.602 1
O22 O 0.738 0.469 0.861 1
O23 O 0.366 0.621 0.912 1
Li7 Li 0.115 0.448 0.909 1
Fe7 Fe 0.902 0.229 0.138 1
Fe8 Fe 0.841 0.875 0.380 1
O24 O 0.623 0.551 0.431 1